# MgTi3Pb5WO15 GGA+U optimized geometry
data_MgTi3Pb5WO15
_cell_length_a 5.685
_cell_length_b 5.685
_cell_length_c 19.889
_cell_angle_alpha 90.00
_cell_angle_beta 90.00
_cell_angle_gamma 90.00
_space_group_name_H-M_alt 'P 4/n m m'
_space_group_IT_number 129
loop_
_space_group_symop_operation_xyz
'x,y,z'
'-x,-y,-z'
'-y+1/2,x,z'
'y+1/2,-x,-z'
'-x+1/2,-y+1/2,z'
'x+1/2,y+1/2,-z'
'y,-x+1/2,z'
'-y,x+1/2,-z'
'x+1/2,-y,-z'
'-x+1/2,y,z'
'-y,-x,-z'
'y,x,z'
'-x,y+1/2,-z'
'x,-y+1/2,z'
'y+1/2,x+1/2,-z'
'-y+1/2,-x+1/2,z'
loop_
_atom_site_label
_atom_site_type_symbol
_atom_site_fract_x
_atom_site_fract_y
_atom_site_fract_z
_atom_site_occupancy
Mg1 Mg 0.250 0.250 0.101 1
Ti1 Ti 0.250 0.250 0.296 1
Ti2 Ti 0.250 0.250 0.496 1
Ti3 Ti 0.250 0.250 0.696 1
Pb1 Pb 0.250 0.750 0.000 1
Pb2 Pb 0.250 0.750 0.203 1
Pb3 Pb 0.250 0.750 0.401 1
W1 W 0.250 0.250 0.901 1
O1 O 0.000 0.000 0.500 1
O2 O 0.001 0.001 0.700 1
O3 O 0.009 0.009 0.900 1
O4 O 0.250 0.250 0.205 1
O5 O 0.250 0.250 0.402 1
O6 O 0.250 0.250 0.601 1
O7 O 0.250 0.250 0.801 1
O8 O 0.250 0.250 0.997 1
# ΔH_f (0 K) (eV/atom): -2.4619
# Total energy after the MP2020 corrections (eV per cell): -385.1